The following is a DFT calculation (PBE) of a geometry-optimized Tc3Pd structure.

Structure (extended XYZ):
```
8
Lattice="5.548 0.000 0.000 -2.774 4.805 0.000 0.000 0.000 4.393" Properties=species:S:1:pos:R:3 pbc="T T T"
Tc 0.000 1.524 1.098
Tc -1.455 4.043 1.098
Tc 1.320 0.762 3.295
Tc 1.455 4.043 1.098
Tc 4.229 0.762 3.295
Tc 2.774 3.281 3.295
Pd 0.000 3.203 3.295
Pd 2.774 1.602 1.098
```

As for the space group: P6_3/mmc, No. 194. The calculated density is 11.35 g/cm3. The value obtained for the energy of formation from the pure elements is -78 meV/atom. The calculation puts the total energy at -36.57 eV per formula unit.